A plane-wave DFT calculation with GGA+U was carried out for a relaxed structure of Li4CrH8SO7.

Structure (CIF):
```
data_Li4CrH8SO7
_cell_length_a 5.3578
_cell_length_b 13.1541
_cell_length_c 10.5429
_cell_angle_alpha 90.00
_cell_angle_beta 105.07
_cell_angle_gamma 90.00
_space_group_name_H-M_alt 'P 1'
_space_group_IT_number 1
_space_group_name_Hall 'P 1'
loop_
_atom_site_label
_atom_site_type_symbol
_atom_site_fract_x
_atom_site_fract_y
_atom_site_fract_z
Li1 Li 0.0017 0.2168 0.2223
Li2 Li 0.0017 0.2832 0.7223
Li3 Li 0.2485 0.5490 0.5079
Li4 Li 0.2485 0.9510 0.0079
Li5 Li 0.2513 0.7197 0.0223
Li6 Li 0.2513 0.7803 0.5223
Li7 Li 0.4870 0.1984 0.7408
Li8 Li 0.4870 0.3016 0.2408
Li9 Li 0.5130 0.6984 0.7592
Li10 Li 0.5130 0.8016 0.2592
Li11 Li 0.7487 0.2197 0.4777
Li12 Li 0.7487 0.2803 0.9777
Li13 Li 0.7515 0.0490 0.9921
Li14 Li 0.7515 0.4510 0.4921
Li15 Li 0.9983 0.7168 0.2777
Li16 Li 0.9983 0.7832 0.7777
Cr1 Cr 0.2503 0.1858 0.9834
Cr2 Cr 0.2503 0.3142 0.4834
Cr3 Cr 0.7497 0.6858 0.5166
Cr4 Cr 0.7497 0.8142 0.0166
H1 H 0.0198 0.0386 0.3607
H2 H 0.0198 0.4614 0.8607
H3 H 0.1043 0.6194 0.6959
H4 H 0.1043 0.8806 0.1959
H5 H 0.1655 0.1375 0.5621
H6 H 0.1655 0.3625 0.0621
H7 H 0.2486 0.0684 0.1796
H8 H 0.2486 0.4316 0.6796
H9 H 0.2665 0.0407 0.8140
H10 H 0.2665 0.4593 0.3140
H11 H 0.2853 0.5407 0.1466
H12 H 0.2853 0.9593 0.6466
H13 H 0.3543 0.1416 0.3795
H14 H 0.3543 0.3584 0.8795
H15 H 0.3641 0.6418 0.3292
H16 H 0.3641 0.8582 0.8292
H17 H 0.6359 0.1418 0.1708
H18 H 0.6359 0.3582 0.6708
H19 H 0.6457 0.6416 0.1205
H20 H 0.6457 0.8584 0.6205
H21 H 0.7147 0.0407 0.3534
H22 H 0.7147 0.4593 0.8534
H23 H 0.7335 0.5407 0.6860
H24 H 0.7335 0.9593 0.1860
H25 H 0.7514 0.5684 0.3204
H26 H 0.7514 0.9316 0.8204
H27 H 0.8345 0.6375 0.9379
H28 H 0.8345 0.8625 0.4379
H29 H 0.8957 0.1194 0.8041
H30 H 0.8957 0.3806 0.3041
H31 H 0.9802 0.5386 0.1393
H32 H 0.9802 0.9614 0.6393
S1 S 0.4058 0.5264 0.9046
S2 S 0.4058 0.9736 0.4046
S3 S 0.5942 0.0264 0.5954
S4 S 0.5942 0.4736 0.0954
O1 O 0.1096 0.6807 0.6447
O2 O 0.1096 0.8193 0.1447
O3 O 0.1191 0.2050 0.5863
O4 O 0.1191 0.2950 0.0863
O5 O 0.1252 0.0816 0.0949
O6 O 0.1252 0.4184 0.5949
O7 O 0.1422 0.5791 0.1710
O8 O 0.1422 0.9209 0.6710
O9 O 0.3684 0.2151 0.3637
O10 O 0.3684 0.2849 0.8637
O11 O 0.3875 0.0760 0.8858
O12 O 0.3875 0.4240 0.3858
O13 O 0.3922 0.6974 0.3930
O14 O 0.3922 0.8026 0.8930
O15 O 0.6078 0.1974 0.1070
O16 O 0.6078 0.3026 0.6070
O17 O 0.6125 0.5760 0.6142
O18 O 0.6125 0.9240 0.1142
O19 O 0.6316 0.7151 0.1363
O20 O 0.6316 0.7849 0.6363
O21 O 0.8578 0.0791 0.3290
O22 O 0.8578 0.4209 0.8290
O23 O 0.8748 0.5816 0.4051
O24 O 0.8748 0.9184 0.9051
O25 O 0.8809 0.7050 0.9137
O26 O 0.8809 0.7950 0.4137
O27 O 0.8904 0.1807 0.8553
O28 O 0.8904 0.3193 0.3553
```

Output
total magnetization: 0.1429 μB/atom
formation energy: -1607 meV/atom
symmetry: P2_1/c
crystal system: monoclinic

=====

A plane-wave DFT calculation with GGA+U was carried out for a relaxed structure of MgCrH22O15.

Structure (CIF):
```
data_MgCrH22O15
_cell_length_a 6.8394
_cell_length_b 7.0431
_cell_length_c 17.5796
_cell_angle_alpha 87.59
_cell_angle_beta 89.33
_cell_angle_gamma 63.04
_space_group_name_H-M_alt 'P 1'
_space_group_IT_number 1
_space_group_name_Hall 'P 1'
loop_
_atom_site_label
_atom_site_type_symbol
_atom_site_fract_x
_atom_site_fract_y
_atom_site_fract_z
Mg1 Mg 0.0000 0.0000 0.0000
Mg2 Mg 0.0000 0.0000 0.5000
Cr1 Cr 0.4082 0.3208 0.2024
Cr2 Cr 0.5918 0.6792 0.7976
H1 H 0.0272 0.5679 0.7063
H2 H 0.0424 0.0354 0.1554
H3 H 0.0638 0.7549 0.2450
H4 H 0.0775 0.9194 0.3444
H5 H 0.1070 0.6006 0.0679
H6 H 0.1234 0.1891 0.1097
H7 H 0.1510 0.2610 0.9256
H8 H 0.1632 0.0367 0.7587
H9 H 0.2003 0.6672 0.5997
H10 H 0.2274 0.2403 0.4762
H11 H 0.2414 0.5527 0.4381
H12 H 0.2459 0.5810 0.7293
H13 H 0.2804 0.4243 0.3639
H14 H 0.2853 0.1372 0.5599
H15 H 0.2999 0.8810 0.3849
H16 H 0.3430 0.2972 0.6556
H17 H 0.3965 0.3654 0.8547
H18 H 0.3987 0.6859 0.5592
H19 H 0.4312 0.8139 0.0396
H20 H 0.4320 0.1306 0.8430
H21 H 0.4429 0.7638 0.9523
H22 H 0.4573 0.0559 0.6825
H23 H 0.5427 0.9441 0.3175
H24 H 0.5571 0.2362 0.0477
H25 H 0.5680 0.8694 0.1570
H26 H 0.5688 0.1861 0.9604
H27 H 0.6013 0.3141 0.4408
H28 H 0.6035 0.6346 0.1453
H29 H 0.6570 0.7028 0.3444
H30 H 0.7001 0.1190 0.6151
H31 H 0.7147 0.8628 0.4401
H32 H 0.7196 0.5757 0.6361
H33 H 0.7541 0.4190 0.2707
H34 H 0.7586 0.4473 0.5619
H35 H 0.7726 0.7597 0.5238
H36 H 0.7997 0.3328 0.4003
H37 H 0.8368 0.9633 0.2413
H38 H 0.8490 0.7390 0.0744
H39 H 0.8766 0.8109 0.8903
H40 H 0.8930 0.3994 0.9321
H41 H 0.9225 0.0806 0.6556
H42 H 0.9362 0.2451 0.7550
H43 H 0.9576 0.9646 0.8446
H44 H 0.9728 0.4321 0.2937
O1 O 0.0027 0.0882 0.7529
O2 O 0.0170 0.2629 0.9489
O3 O 0.0472 0.1003 0.1049
O4 O 0.1495 0.8971 0.3951
O5 O 0.1694 0.5540 0.6863
O6 O 0.1939 0.1517 0.5144
O7 O 0.2091 0.4538 0.2649
O8 O 0.2423 0.7201 0.5519
O9 O 0.3007 0.3388 0.1168
O10 O 0.3135 0.4068 0.4195
O11 O 0.3402 0.8261 0.9942
O12 O 0.3931 0.2402 0.8814
O13 O 0.4168 0.5765 0.8015
O14 O 0.4386 0.1527 0.6370
O15 O 0.4558 0.9386 0.7698
O16 O 0.5442 0.0614 0.2302
O17 O 0.5614 0.8473 0.3630
O18 O 0.5832 0.4235 0.1985
O19 O 0.6069 0.7598 0.1186
O20 O 0.6598 0.1739 0.0058
O21 O 0.6865 0.5932 0.5805
O22 O 0.6993 0.6612 0.8832
O23 O 0.7577 0.2799 0.4481
O24 O 0.7909 0.5462 0.7351
O25 O 0.8061 0.8483 0.4856
O26 O 0.8306 0.4460 0.3137
O27 O 0.8505 0.1029 0.6049
O28 O 0.9528 0.8997 0.8951
O29 O 0.9830 0.7371 0.0511
O30 O 0.9973 0.9118 0.2471
```

Output
total magnetization: 0.0000 μB/atom
formation energy: -1415 meV/atom
symmetry: P-1
crystal system: triclinic

=====

A plane-wave DFT calculation with GGA+U was carried out for a relaxed structure of MgVCrP2H2O10.

Structure (CIF):
```
data_MgVCrP2H2O10
_cell_length_a 5.1877
_cell_length_b 5.4301
_cell_length_c 7.3661
_cell_angle_alpha 110.66
_cell_angle_beta 107.54
_cell_angle_gamma 93.17
_space_group_name_H-M_alt 'P 1'
_space_group_IT_number 1
_space_group_name_Hall 'P 1'
loop_
_atom_site_label
_atom_site_type_symbol
_atom_site_fract_x
_atom_site_fract_y
_atom_site_fract_z
Mg1 Mg 0.0000 0.0000 0.0000
V1 V 0.5000 0.0006 0.5005
Cr1 Cr 0.0002 0.5002 0.0005
P1 P 0.3893 0.6014 0.7489
P2 P 0.6109 0.3996 0.2521
H1 H 0.0207 0.1460 0.6927
H2 H 0.9792 0.8544 0.3077
O1 O 0.1211 0.8582 0.2433
O2 O 0.2051 0.6930 0.8849
O3 O 0.3037 0.3194 0.1061
O4 O 0.3134 0.2936 0.6379
O5 O 0.3455 0.7538 0.6064
O6 O 0.6551 0.2484 0.3954
O7 O 0.6862 0.7076 0.3626
O8 O 0.6964 0.6805 0.8950
O9 O 0.7951 0.3081 0.1161
O10 O 0.8786 0.1423 0.7571
```

Output
total magnetization: 0.2941 μB/atom
formation energy: -2512 meV/atom
symmetry: P1
crystal system: triclinic

=====

A plane-wave DFT calculation with GGA+U was carried out for a relaxed structure of Cr3H8N2O10.

Structure (CIF):
```
data_Cr3H8N2O10
_cell_length_a 9.4342
_cell_length_b 19.2241
_cell_length_c 11.3986
_cell_angle_alpha 90.00
_cell_angle_beta 90.00
_cell_angle_gamma 90.00
_space_group_name_H-M_alt 'P 1'
_space_group_IT_number 1
_space_group_name_Hall 'P 1'
loop_
_atom_site_label
_atom_site_type_symbol
_atom_site_fract_x
_atom_site_fract_y
_atom_site_fract_z
Cr1 Cr 0.0028 0.0231 0.1951
Cr2 Cr 0.0028 0.4769 0.6951
Cr3 Cr 0.0087 0.7330 0.5017
Cr4 Cr 0.0087 0.7670 0.0017
Cr5 Cr 0.2019 0.6137 0.6302
Cr6 Cr 0.2019 0.8863 0.1302
Cr7 Cr 0.2981 0.1137 0.6302
Cr8 Cr 0.2981 0.3863 0.1302
Cr9 Cr 0.4913 0.2330 0.5017
Cr10 Cr 0.4913 0.2670 0.0017
Cr11 Cr 0.4972 0.5231 0.1951
Cr12 Cr 0.4972 0.9769 0.6951
Cr13 Cr 0.5028 0.0231 0.3049
Cr14 Cr 0.5028 0.4769 0.8049
Cr15 Cr 0.5087 0.7330 0.9983
Cr16 Cr 0.5087 0.7670 0.4983
Cr17 Cr 0.7019 0.6137 0.8698
Cr18 Cr 0.7019 0.8863 0.3698
Cr19 Cr 0.7981 0.1137 0.8698
Cr20 Cr 0.7981 0.3863 0.3698
Cr21 Cr 0.9913 0.2330 0.9983
Cr22 Cr 0.9913 0.2670 0.4983
Cr23 Cr 0.9972 0.5231 0.3049
Cr24 Cr 0.9972 0.9769 0.8049
H1 H 0.0733 0.5888 0.8909
H2 H 0.0733 0.9112 0.3909
H3 H 0.0966 0.5766 0.0359
H4 H 0.0966 0.9234 0.5359
H5 H 0.1454 0.2177 0.2750
H6 H 0.1454 0.2823 0.7750
H7 H 0.1719 0.1333 0.2433
H8 H 0.1719 0.3667 0.7433
H9 H 0.1999 0.6922 0.2139
H10 H 0.1999 0.8078 0.7139
H11 H 0.2089 0.6288 0.9594
H12 H 0.2089 0.8712 0.4594
H13 H 0.2124 0.5417 0.9380
H14 H 0.2124 0.9583 0.4380
H15 H 0.2381 0.6707 0.3545
H16 H 0.2381 0.8293 0.8545
H17 H 0.2619 0.1707 0.3545
H18 H 0.2619 0.3293 0.8545
H19 H 0.2876 0.0417 0.9380
H20 H 0.2876 0.4583 0.4380
H21 H 0.2911 0.1288 0.9594
H22 H 0.2911 0.3712 0.4594
H23 H 0.3001 0.1922 0.2139
H24 H 0.3001 0.3078 0.7139
H25 H 0.3281 0.6333 0.2433
H26 H 0.3281 0.8667 0.7433
H27 H 0.3546 0.7177 0.2750
H28 H 0.3546 0.7823 0.7750
H29 H 0.4034 0.0766 0.0359
H30 H 0.4034 0.4234 0.5359
H31 H 0.4267 0.0888 0.8909
H32 H 0.4267 0.4112 0.3909
H33 H 0.5733 0.5888 0.6091
H34 H 0.5733 0.9112 0.1091
H35 H 0.5966 0.5766 0.4641
H36 H 0.5966 0.9234 0.9641
H37 H 0.6454 0.2177 0.2250
H38 H 0.6454 0.2823 0.7250
H39 H 0.6719 0.1333 0.2567
H40 H 0.6719 0.3667 0.7567
H41 H 0.6999 0.6922 0.2861
H42 H 0.6999 0.8078 0.7861
H43 H 0.7089 0.6288 0.5406
H44 H 0.7089 0.8712 0.0406
H45 H 0.7124 0.5417 0.5620
H46 H 0.7124 0.9583 0.0620
H47 H 0.7381 0.6707 0.1455
H48 H 0.7381 0.8293 0.6455
H49 H 0.7619 0.1707 0.1455
H50 H 0.7619 0.3293 0.6455
H51 H 0.7876 0.0417 0.5620
H52 H 0.7876 0.4583 0.0620
H53 H 0.7911 0.1288 0.5406
H54 H 0.7911 0.3712 0.0406
H55 H 0.8001 0.1922 0.2861
H56 H 0.8001 0.3078 0.7861
H57 H 0.8281 0.6333 0.2567
H58 H 0.8281 0.8667 0.7567
H59 H 0.8546 0.7177 0.2250
H60 H 0.8546 0.7823 0.7250
H61 H 0.9034 0.0766 0.4641
H62 H 0.9034 0.4234 0.9641
H63 H 0.9267 0.0888 0.6091
H64 H 0.9267 0.4112 0.1091
N1 N 0.1480 0.5840 0.9563
N2 N 0.1480 0.9160 0.4563
N3 N 0.2200 0.1786 0.2718
N4 N 0.2200 0.3214 0.7718
N5 N 0.2800 0.6786 0.2718
N6 N 0.2800 0.8214 0.7718
N7 N 0.3520 0.0840 0.9563
N8 N 0.3520 0.4160 0.4563
N9 N 0.6480 0.5840 0.5437
N10 N 0.6480 0.9160 0.0437
N11 N 0.7200 0.1786 0.2282
N12 N 0.7200 0.3214 0.7282
N13 N 0.7800 0.6786 0.2282
N14 N 0.7800 0.8214 0.7282
N15 N 0.8520 0.0840 0.5437
N16 N 0.8520 0.4160 0.0437
O1 O 0.0121 0.0579 0.3254
O2 O 0.0121 0.4421 0.8254
O3 O 0.0257 0.7353 0.8709
O4 O 0.0257 0.7647 0.3709
O5 O 0.0469 0.7086 0.1009
O6 O 0.0469 0.7914 0.6009
O7 O 0.0707 0.5657 0.7010
O8 O 0.0707 0.9343 0.2010
O9 O 0.1004 0.0683 0.1063
O10 O 0.1004 0.4317 0.6063
O11 O 0.1334 0.6605 0.5115
O12 O 0.1334 0.8395 0.0115
O13 O 0.1523 0.2055 0.9788
O14 O 0.1523 0.2945 0.4788
O15 O 0.1604 0.5214 0.3499
O16 O 0.1604 0.9786 0.8499
O17 O 0.1738 0.0645 0.5824
O18 O 0.1738 0.4355 0.0824
O19 O 0.2336 0.1664 0.7244
O20 O 0.2336 0.3336 0.2244
O21 O 0.2664 0.6664 0.7244
O22 O 0.2664 0.8336 0.2244
O23 O 0.3262 0.5645 0.5824
O24 O 0.3262 0.9355 0.0824
O25 O 0.3396 0.0214 0.3499
O26 O 0.3396 0.4786 0.8499
O27 O 0.3477 0.7055 0.9788
O28 O 0.3477 0.7945 0.4788
O29 O 0.3666 0.1605 0.5115
O30 O 0.3666 0.3395 0.0115
O31 O 0.3996 0.5683 0.1063
O32 O 0.3996 0.9317 0.6063
O33 O 0.4293 0.0657 0.7010
O34 O 0.4293 0.4343 0.2010
O35 O 0.4531 0.2086 0.1009
O36 O 0.4531 0.2914 0.6009
O37 O 0.4743 0.2353 0.8709
O38 O 0.4743 0.2647 0.3709
O39 O 0.4879 0.5579 0.3254
O40 O 0.4879 0.9421 0.8254
O41 O 0.5121 0.0579 0.1746
O42 O 0.5121 0.4421 0.6746
O43 O 0.5257 0.7353 0.6291
O44 O 0.5257 0.7647 0.1291
O45 O 0.5469 0.7086 0.3991
O46 O 0.5469 0.7914 0.8991
O47 O 0.5707 0.5657 0.7990
O48 O 0.5707 0.9343 0.2990
O49 O 0.6004 0.0683 0.3937
O50 O 0.6004 0.4317 0.8937
O51 O 0.6334 0.6605 0.9885
O52 O 0.6334 0.8395 0.4885
O53 O 0.6523 0.2055 0.5212
O54 O 0.6523 0.2945 0.0212
O55 O 0.6604 0.5214 0.1501
O56 O 0.6604 0.9786 0.6501
O57 O 0.6738 0.0645 0.9176
O58 O 0.6738 0.4355 0.4176
O59 O 0.7336 0.1664 0.7756
O60 O 0.7336 0.3336 0.2756
O61 O 0.7664 0.6664 0.7756
O62 O 0.7664 0.8336 0.2756
O63 O 0.8262 0.5645 0.9176
O64 O 0.8262 0.9355 0.4176
O65 O 0.8396 0.0214 0.1501
O66 O 0.8396 0.4786 0.6501
O67 O 0.8477 0.7055 0.5212
O68 O 0.8477 0.7945 0.0212
O69 O 0.8666 0.1605 0.9885
O70 O 0.8666 0.3395 0.4885
O71 O 0.8996 0.5683 0.3937
O72 O 0.8996 0.9317 0.8937
O73 O 0.9293 0.0657 0.7990
O74 O 0.9293 0.4343 0.2990
O75 O 0.9531 0.2086 0.3991
O76 O 0.9531 0.2914 0.8991
O77 O 0.9743 0.2353 0.6291
O78 O 0.9743 0.2647 0.1291
O79 O 0.9879 0.5579 0.1746
O80 O 0.9879 0.9421 0.6746
```

Output
total magnetization: 0.0000 μB/atom
formation energy: -1153 meV/atom
symmetry: Pbca
crystal system: orthorhombic